# MgMoW2Se4S2 | the Materials Project database | PBE | relaxed
# E   -6.617 eV per atom
# Energy of formation   -0.655 eV/atom
data_MgMoW2Se4S2
_chemical_formula_sum 'Mg1 Mo1 W2 Se4 S2'
_cell_length_a 3.2768
_cell_length_b 3.2768
_cell_length_c 37.8931
_cell_angle_alpha 90.00
_cell_angle_beta 90.00
_cell_angle_gamma 120.00
_space_group_name_H-M_alt 'P 3 m 1'
_space_group_IT_number 156
_space_group_name_Hall 'P 3 -2"'
loop_
_atom_site_label
_atom_site_fract_x
_atom_site_fract_y
_atom_site_fract_z
Mg1 0.0000 0.0000 0.0000
Mo1 0.3333 0.6667 0.6582
W1 0.3333 0.6667 0.1295
W2 0.6667 0.3333 0.8806
Se1 0.6667 0.3333 0.0844
Se2 0.6667 0.3333 0.1744
Se3 0.6667 0.3333 0.6137
Se4 0.6667 0.3333 0.7029
S1 0.3333 0.6667 0.8402
S2 0.3333 0.6667 0.9213